[1]
## K2Ni2S3O12 (GGA+U)

Data for a relaxed structure of K2Ni2S3O12. Values from VASP.

```
&SYSTEM
  ibrav = 0, nat = 76, ntyp = 4
/
ATOMIC_SPECIES
Ni 58.69 Ni.upf
O 16.00 O.upf
S 32.06 S.upf
K 39.10 K.upf
ATOMIC_POSITIONS crystal
Ni 0.0923 0.9077 0.4077
Ni 0.5923 0.5923 0.5923
Ni 0.6638 0.8362 0.1638
Ni 0.4077 0.0923 0.9077
Ni 0.3362 0.3362 0.3362
Ni 0.1638 0.6638 0.8362
Ni 0.8362 0.1638 0.6638
Ni 0.9077 0.4077 0.0923
O 0.2430 0.5055 0.9469
O 0.7430 0.9945 0.0531
O 0.6696 0.5029 0.4239
O 0.7757 0.5351 0.6906
O 0.2757 0.9649 0.3094
O 0.0531 0.7430 0.9945
O 0.1662 0.2436 0.4060
O 0.5940 0.6662 0.2564
O 0.4239 0.6696 0.5029
O 0.3304 0.0029 0.0761
O 0.5055 0.9469 0.2430
O 0.1906 0.7243 0.4649
O 0.0351 0.8094 0.2243
O 0.3338 0.7564 0.9060
O 0.1696 0.9971 0.5761
O 0.2436 0.4060 0.1662
O 0.4469 0.2570 0.4945
O 0.0055 0.5531 0.7570
O 0.7564 0.9060 0.3338
O 0.3094 0.2757 0.9649
O 0.2570 0.4945 0.4469
O 0.4971 0.9239 0.8304
O 0.7436 0.0940 0.8338
O 0.4649 0.1906 0.7243
O 0.9469 0.2430 0.5055
O 0.5761 0.1696 0.9971
O 0.9649 0.3094 0.2757
O 0.9971 0.5761 0.1696
O 0.5351 0.6906 0.7757
O 0.9945 0.0531 0.7430
O 0.6662 0.2564 0.5940
O 0.9060 0.3338 0.7564
O 0.4945 0.4469 0.2570
O 0.5029 0.4239 0.6696
O 0.8304 0.4971 0.9239
O 0.6906 0.7757 0.5351
O 0.9239 0.8304 0.4971
O 0.5531 0.7570 0.0055
O 0.8338 0.7436 0.0940
O 0.4060 0.1662 0.2436
O 0.8094 0.2243 0.0351
O 0.0761 0.3304 0.0029
O 0.7570 0.0055 0.5531
O 0.0029 0.0761 0.3304
O 0.2243 0.0351 0.8094
O 0.7243 0.4649 0.1906
O 0.0940 0.8338 0.7436
O 0.2564 0.5940 0.6662
S 0.1218 0.9777 0.7179
S 0.2179 0.3782 0.0223
S 0.6218 0.5223 0.2821
S 0.9777 0.7179 0.1218
S 0.8782 0.4777 0.7821
S 0.2821 0.6218 0.5223
S 0.5223 0.2821 0.6218
S 0.7821 0.8782 0.4777
S 0.7179 0.1218 0.9777
S 0.4777 0.7821 0.8782
S 0.3782 0.0223 0.2179
S 0.0223 0.2179 0.3782
K 0.8139 0.8139 0.8139
K 0.9496 0.5504 0.4496
K 0.0504 0.0504 0.0504
K 0.4496 0.9496 0.5504
K 0.3139 0.6861 0.1861
K 0.1861 0.3139 0.6861
K 0.6861 0.1861 0.3139
K 0.5504 0.4496 0.9496
CELL_PARAMETERS angstrom
-5.9047 -1.2342 -7.9210
-7.2148 -3.4704 5.9190
-3.4946 9.2501 1.1637
```

Properties
Total magnetization: 16.0 μB per cell


[2]
## KNiSbO4 (GGA+U)

Data for a relaxed structure of KNiSbO4. Values from VASP.

```
&SYSTEM
  ibrav = 0, nat = 7, ntyp = 4
/
ATOMIC_SPECIES
K 39.10 K.upf
O 16.00 O.upf
Ni 58.69 Ni.upf
Sb 121.76 Sb.upf
ATOMIC_POSITIONS crystal
K 0.7476 0.5817 0.5044
O 0.5863 0.1767 0.8274
O 0.4136 0.8235 0.1729
O 0.9192 0.3002 0.1617
O 0.0808 0.6991 0.8384
Ni 0.4971 0.4977 0.0058
Sb 0.0011 0.0028 0.9978
CELL_PARAMETERS angstrom
-2.2945 2.1332 -0.3132
-1.7725 -2.5350 -4.2805
-5.0926 -2.7128 3.0084
```

Properties
Total magnetization: 2.0 μB per cell


[3]
## KSmNi4O12 (GGA+U)

Data for a relaxed structure of KSmNi4O12. Values from VASP.

```
&SYSTEM
  ibrav = 0, nat = 18, ntyp = 4
/
ATOMIC_SPECIES
O 16.00 O.upf
Ni 58.69 Ni.upf
Sm 150.36 Sm.upf
K 39.10 K.upf
ATOMIC_POSITIONS crystal
O 0.7381 0.2608 0.2716
O 0.7381 0.2608 0.7284
O 0.2726 0.2726 0.7454
O 0.7242 0.7242 0.2847
O 0.2608 0.7381 0.2716
O 0.2608 0.7381 0.7284
O 0.2726 0.2726 0.2546
O 0.7242 0.7242 0.7153
O 0.9862 0.5175 0.0000
O 0.4856 0.0270 0.5000
O 0.5175 0.9862 0.0000
O 0.0270 0.4856 0.5000
Ni 0.5018 0.9969 0.2467
Ni 0.9969 0.5018 0.7533
Ni 0.5018 0.9969 0.7533
Ni 0.9969 0.5018 0.2467
Sm 0.4875 0.4875 0.5000
K 0.0096 0.0096 0.0000
CELL_PARAMETERS angstrom
2.8418 -4.1641 -1.9878
-0.6325 -2.7222 4.6429
-6.4335 -3.1035 -2.6961
```

Properties
Total magnetization: 12.4 μB per cell


[4]
## K2Sc2P2WO12 (GGA+U)

Data for a relaxed structure of K2Sc2P2WO12. Values from VASP.

```
&SYSTEM
  ibrav = 0, nat = 76, ntyp = 5
/
ATOMIC_SPECIES
O 16.00 O.upf
W 183.84 W.upf
K 39.10 K.upf
Sc 44.96 Sc.upf
P 30.97 P.upf
ATOMIC_POSITIONS crystal
O 0.0806 0.3203 0.2362
O 0.6874 0.7270 0.4034
O 0.3249 0.2319 0.0743
O 0.9887 0.0579 0.2002
O 0.0013 0.4071 0.8589
O 0.5276 0.9701 0.6972
O 0.9945 0.9318 0.6608
O 0.7639 0.5727 0.1790
O 0.5858 0.3539 0.4911
O 0.7583 0.0296 0.7043
O 0.5858 0.1841 0.7796
O 0.0212 0.6829 0.7704
O 0.9792 0.1984 0.7545
O 0.2221 0.0891 0.3153
O 0.4841 0.4460 0.8057
O 0.1748 0.7321 0.9758
O 0.9358 0.7944 0.2691
O 0.4923 0.5922 0.3500
O 0.1433 0.5055 0.0977
O 0.5239 0.8046 0.2424
O 0.9427 0.6981 0.5146
O 0.5041 0.0851 0.1379
O 0.7345 0.9832 0.1895
O 0.2093 0.7642 0.5708
O 0.7930 0.4740 0.4593
O 0.5519 0.2959 0.0244
O 0.0501 0.2030 0.9792
O 0.2274 0.5237 0.8159
O 0.6955 0.7527 0.0292
O 0.6433 0.9860 0.9076
O 0.8223 0.2637 0.9284
O 0.4706 0.7996 0.4725
O 0.8478 0.0047 0.4395
O 0.0904 0.1497 0.5109
O 0.3030 0.2557 0.4705
O 0.2623 0.9291 0.7884
O 0.1970 0.9873 0.0537
O 0.2548 0.4758 0.3027
O 0.4787 0.2974 0.2477
O 0.2996 0.0267 0.5299
O 0.7994 0.2497 0.5280
O 0.4258 0.8320 0.0024
O 0.6972 0.5260 0.9546
O 0.7201 0.4182 0.6820
O 0.9030 0.6446 0.9974
O 0.4273 0.7097 0.7337
O 0.0242 0.5390 0.3070
O 0.3427 0.4924 0.5683
W 0.0453 0.7723 0.6276
W 0.8773 0.9557 0.2789
W 0.3715 0.5464 0.7265
W 0.2679 0.8716 0.9509
K 0.0614 0.4104 0.5560
K 0.7947 0.3113 0.1942
K 0.6979 0.6988 0.7005
K 0.5627 0.0831 0.4290
K 0.4444 0.5547 0.0889
K 0.3034 0.1997 0.7960
K 0.2202 0.7908 0.3043
K 0.9075 0.9435 0.9234
Sc 0.3776 0.8772 0.6216
Sc 0.8477 0.6220 0.3483
Sc 0.1539 0.1655 0.1458
Sc 0.5865 0.9109 0.0830
Sc 0.9104 0.1074 0.6007
Sc 0.0658 0.5676 0.9349
Sc 0.4157 0.4074 0.3985
Sc 0.6557 0.3493 0.8630
P 0.6292 0.0445 0.7738
P 0.7211 0.3743 0.5424
P 0.2261 0.1320 0.4552
P 0.5449 0.7278 0.3658
P 0.9626 0.2683 0.8820
P 0.1260 0.4601 0.2361
P 0.7639 0.6235 0.0400
P 0.4653 0.2252 0.1203
CELL_PARAMETERS angstrom
-10.1823 2.6559 -0.6180
0.3500 -1.0036 -10.5204
-2.8032 -10.1754 0.8089
```

Properties
Total magnetization: 0.0 μB per cell


[5]
## K6V6P6O31 (GGA+U)

Data for a relaxed structure of K6V6P6O31. Values from VASP.

```
&SYSTEM
  ibrav = 0, nat = 98, ntyp = 4
/
ATOMIC_SPECIES
K 39.10 K.upf
O 16.00 O.upf
V 50.94 V.upf
P 30.97 P.upf
ATOMIC_POSITIONS crystal
K 0.8500 0.2432 0.8376
K 0.3722 0.0000 0.4902
K 0.1293 0.5000 0.5112
K 0.8500 0.7568 0.8376
K 0.6278 0.5000 0.9902
K 0.3510 0.7592 0.6638
K 0.8707 0.0000 0.0112
K 0.6490 0.2592 0.1638
K 0.1500 0.7432 0.3376
K 0.6490 0.7408 0.1638
K 0.3510 0.2408 0.6638
K 0.1500 0.2568 0.3376
O 0.8933 0.1064 0.3399
O 0.6516 0.0000 0.6574
O 0.7850 0.5000 0.7975
O 0.2026 0.1345 0.0129
O 0.7208 0.7368 0.3567
O 0.2200 0.2636 0.1431
O 0.4695 0.6060 0.8393
O 0.4142 0.3151 0.4690
O 0.1628 0.0000 0.8425
O 0.9120 0.3150 0.0304
O 0.9120 0.6850 0.0304
O 0.7800 0.7636 0.6431
O 0.2969 0.6344 0.9871
O 0.9691 0.3938 0.6611
O 0.9691 0.6062 0.6611
O 0.7031 0.1344 0.4871
O 0.0309 0.1062 0.1611
O 0.0309 0.8938 0.1611
O 0.7800 0.2364 0.6431
O 0.7974 0.3655 0.5129
O 0.8182 0.0000 0.8154
O 0.5180 0.0961 0.7937
O 0.8372 0.5000 0.3425
O 0.2200 0.7364 0.1431
O 0.7150 0.0000 0.2028
O 0.2792 0.2368 0.8567
O 0.9697 0.0000 0.5442
O 0.2026 0.8655 0.0129
O 0.9726 0.4045 0.2045
O 0.0303 0.5000 0.0442
O 0.1818 0.5000 0.3154
O 0.6067 0.3933 0.6603
O 0.5305 0.8940 0.3393
O 0.3484 0.5000 0.1574
O 0.5305 0.1060 0.3393
O 0.9726 0.5955 0.2045
O 0.3933 0.8933 0.1603
O 0.0880 0.8150 0.5304
O 0.0274 0.9045 0.7045
O 0.2150 0.0000 0.2975
O 0.4695 0.3940 0.8393
O 0.4820 0.4039 0.2937
O 0.5298 0.5000 0.4552
O 0.5858 0.8151 0.9690
O 0.0880 0.1850 0.5304
O 0.2792 0.7632 0.8567
O 0.7031 0.8656 0.4871
O 0.8933 0.8936 0.3399
O 0.7974 0.6345 0.5129
O 0.4142 0.6849 0.4690
O 0.1067 0.6064 0.8399
O 0.2969 0.3656 0.9871
O 0.5858 0.1849 0.9690
O 0.7208 0.2632 0.3567
O 0.5180 0.9039 0.7937
O 0.3933 0.1067 0.1603
O 0.2850 0.5000 0.7028
O 0.4820 0.5961 0.2937
O 0.1067 0.3936 0.8399
O 0.6067 0.6067 0.6603
O 0.4702 0.0000 0.9552
O 0.0274 0.0955 0.7045
V 0.0131 0.5000 0.7576
V 0.0893 0.3750 0.0776
V 0.5909 0.3753 0.4215
V 0.9107 0.1250 0.5776
V 0.4091 0.1247 0.9215
V 0.4867 0.0000 0.2423
V 0.4091 0.8753 0.9215
V 0.5909 0.6247 0.4215
V 0.9869 0.0000 0.2576
V 0.0893 0.6250 0.0776
V 0.9107 0.8750 0.5776
V 0.5133 0.5000 0.7423
P 0.7879 0.6514 0.6189
P 0.0254 0.0000 0.7629
P 0.6140 0.0000 0.7604
P 0.2879 0.6513 0.8811
P 0.7121 0.8487 0.3811
P 0.7879 0.3486 0.6189
P 0.3860 0.5000 0.2604
P 0.2121 0.1514 0.1189
P 0.2879 0.3487 0.8811
P 0.2121 0.8486 0.1189
P 0.9746 0.5000 0.2629
P 0.7121 0.1513 0.3811
CELL_PARAMETERS angstrom
7.0772 0.0000 0.0000
0.0000 13.5728 0.0000
0.0000 0.0000 14.4720
```

Properties
Total magnetization: 0.4 μB per cell


[6]
## KVPO6 (GGA+U)

Data for a relaxed structure of KVPO6. Values from VASP.

```
&SYSTEM
  ibrav = 0, nat = 72, ntyp = 4
/
ATOMIC_SPECIES
O 16.00 O.upf
P 30.97 P.upf
K 39.10 K.upf
V 50.94 V.upf
ATOMIC_POSITIONS crystal
O 0.9737 0.8818 0.2759
O 0.4737 0.6182 0.7241
O 0.5303 0.4507 0.8498
O 0.3734 0.7423 0.0567
O 0.8734 0.7577 0.9433
O 0.0263 0.3818 0.2241
O 0.5263 0.1182 0.7759
O 0.2287 0.4901 0.5293
O 0.3867 0.1318 0.1448
O 0.4737 0.8818 0.2241
O 0.4697 0.5493 0.1502
O 0.2794 0.6087 0.2769
O 0.6266 0.2423 0.4433
O 0.8867 0.3682 0.8552
O 0.9697 0.5493 0.3498
O 0.0303 0.4507 0.6502
O 0.3867 0.3682 0.6448
O 0.7287 0.4901 0.9707
O 0.7794 0.6087 0.2231
O 0.7713 0.9901 0.9707
O 0.6266 0.2577 0.9433
O 0.7206 0.1087 0.2231
O 0.9737 0.6182 0.7759
O 0.4697 0.9507 0.6502
O 0.8867 0.1318 0.3552
O 0.3734 0.7577 0.5567
O 0.6133 0.8682 0.8552
O 0.1266 0.2423 0.0567
O 0.5303 0.0493 0.3498
O 0.2206 0.3913 0.7769
O 0.2206 0.1087 0.2769
O 0.7794 0.8913 0.7231
O 0.2713 0.9901 0.5293
O 0.7713 0.5099 0.4707
O 0.7287 0.0099 0.4707
O 0.2713 0.5099 0.0293
O 0.6133 0.6318 0.3552
O 0.1133 0.6318 0.1448
O 0.7206 0.3913 0.7231
O 0.1266 0.2577 0.5567
O 0.8734 0.7423 0.4433
O 0.5263 0.3818 0.2759
O 0.2287 0.0099 0.0293
O 0.1133 0.8682 0.6448
O 0.2794 0.8913 0.7769
O 0.0263 0.1182 0.7241
O 0.0303 0.0493 0.1502
O 0.9697 0.9507 0.8498
P 0.1952 0.3924 0.5976
P 0.8048 0.6076 0.4024
P 0.6952 0.3924 0.9024
P 0.1952 0.1076 0.0976
P 0.3048 0.8924 0.5976
P 0.3048 0.6076 0.0976
P 0.6952 0.1076 0.4024
P 0.8048 0.8924 0.9024
K 0.7767 0.8108 0.1000
K 0.7767 0.6892 0.6000
K 0.2233 0.3108 0.4000
K 0.7233 0.3108 0.1000
K 0.7233 0.1892 0.6000
K 0.2767 0.6892 0.9000
K 0.2767 0.8108 0.4000
K 0.2233 0.1892 0.9000
V 0.4764 0.0513 0.2408
V 0.5236 0.5513 0.2592
V 0.5236 0.9487 0.7592
V 0.9764 0.4487 0.7592
V 0.9764 0.0513 0.2592
V 0.0236 0.9487 0.7408
V 0.0236 0.5513 0.2408
V 0.4764 0.4487 0.7408
CELL_PARAMETERS angstrom
6.7801 0.0000 0.0000
0.0000 9.4394 0.0000
0.0000 0.0000 17.7308
```

Properties
Total magnetization: 8.0 μB per cell


[7]
## K2V3P4O20 (GGA+U)

Data for a relaxed structure of K2V3P4O20. Values from VASP.

```
&SYSTEM
  ibrav = 0, nat = 58, ntyp = 4
/
ATOMIC_SPECIES
V 50.94 V.upf
O 16.00 O.upf
P 30.97 P.upf
K 39.10 K.upf
ATOMIC_POSITIONS crystal
V 0.3877 0.1700 0.8425
V 0.6123 0.8300 0.1575
V 0.0342 0.3883 0.0939
V 0.6664 0.3896 0.3711
V 0.3336 0.6104 0.6289
V 0.9658 0.6117 0.9061
O 0.7410 0.0584 0.5067
O 0.4024 0.3007 0.8129
O 0.7456 0.4254 0.1028
O 0.0792 0.1541 0.8472
O 0.2544 0.5746 0.8972
O 0.6836 0.5332 0.3703
O 0.6935 0.0205 0.1530
O 0.6894 0.1459 0.8459
O 0.9621 0.3700 0.3696
O 0.4388 0.6955 0.7897
O 0.3541 0.3599 0.3737
O 0.8585 0.5215 0.7457
O 0.2543 0.5737 0.4647
O 0.6459 0.6401 0.6263
O 0.1415 0.4785 0.2543
O 0.3164 0.4668 0.6297
O 0.6594 0.5786 0.9082
O 0.3065 0.9795 0.8470
O 0.9208 0.8459 0.1528
O 0.0379 0.6300 0.6304
O 0.1588 0.7396 0.2768
O 0.2590 0.9416 0.4933
O 0.5976 0.6993 0.1871
O 0.9501 0.3611 0.9359
O 0.8412 0.2604 0.7232
O 0.3106 0.8541 0.1541
O 0.6237 0.1754 0.3684
O 0.5300 0.7819 0.9965
O 0.3763 0.8246 0.6316
O 0.7078 0.9516 0.3068
O 0.2922 0.0484 0.6932
O 0.9759 0.8643 0.5819
O 0.9930 0.7553 0.9058
O 0.3406 0.4214 0.0918
O 0.0070 0.2447 0.0942
O 0.0499 0.6389 0.0641
O 0.5612 0.3045 0.2103
O 0.0241 0.1357 0.4181
O 0.4700 0.2181 0.0035
O 0.7457 0.4263 0.5353
P 0.7790 0.0869 0.4011
P 0.1122 0.7672 0.1681
P 0.5298 0.3438 0.1019
P 0.8218 0.5523 0.6344
P 0.4702 0.6562 0.8981
P 0.1782 0.4477 0.3656
P 0.8878 0.2328 0.8319
P 0.2210 0.9131 0.5989
K 0.1904 0.0973 0.2212
K 0.5645 0.7760 0.4291
K 0.8096 0.9027 0.7788
K 0.4355 0.2240 0.5709
CELL_PARAMETERS angstrom
6.2749 0.0000 0.0000
-1.1692 11.1716 0.0000
-2.9135 -4.0025 11.8641
```

Properties
Total magnetization: 6.1 μB per cell


ΔE_f across the listed records, respectively: -1.902; -1.786; -0.819; -2.972; -2.579; -2.335; -2.323 eV/atom.
Mass density across the listed records, respectively: 3.3; 4.5; 4.6; 3.4; 2.9; 2.5; 2.7 g/cm³.